Record 1
Bi4O5: optimized geometry, PBE.

Properties
- energy above the lowest structure with this stoichiometry (meV/atom) = 10

a b c (Å): 7.8824 7.8824 5.5885
angles (deg): 86.07 86.07 95.15
Last column: nearest neighbours and their distance in Å.
Element x y z (fractional)
Bi (0.7185, 0.0741, 0.7267)  3 O 2.20-2.38
Bi (0.7724, 0.5560, 0.7420)  4 O 2.22-2.29
Bi (0.2104, 0.0043, 0.7210)  4 O 2.21-2.38
Bi (0.2830, 0.4863, 0.7352)  4 O 2.18-2.39
Bi (0.4863, 0.2830, 0.2352)  4 O 2.18-2.39
Bi (0.0043, 0.2104, 0.2210)  4 O 2.21-2.38
Bi (0.5560, 0.7724, 0.2420)  4 O 2.22-2.29
Bi (0.0741, 0.7185, 0.2267)  3 O 2.20-2.38
O (0.5344, 0.4430, 0.5769)  3 Bi 2.18-2.39
O (0.9575, 0.0414, 0.8974)  3 Bi 2.20-2.35
O (0.0414, 0.9575, 0.3974)  3 Bi 2.20-2.35
O (0.4430, 0.5344, 0.0769)  3 Bi 2.18-2.39
O (0.7951, 0.6730, 0.0904)  3 Bi 2.22-2.38
O (0.3052, 0.7253, 0.4784)  3 Bi 2.27-2.38
O (0.2719, 0.2072, 0.9991)  3 Bi 2.28-2.38
O (0.2072, 0.2719, 0.4991)  3 Bi 2.28-2.38
O (0.7253, 0.3052, 0.9784)  3 Bi 2.27-2.38
O (0.6730, 0.7951, 0.5904)  3 Bi 2.22-2.38


Record 2
TiAgSe2: optimized geometry, PBE.

a b c (Å): 7.6766 7.6766 7.6766
angles (deg): 27.83 27.83 27.83
Last column: nearest neighbours and their distance in Å.
Element x y z (fractional)
Ti (0.0004, 0.0004, 0.0004)  6 Se 2.60-2.63
Ag (0.1511, 0.1511, 0.1511)  4 Se 2.55-2.78
Se (0.2664, 0.2664, 0.2664)  1 Ag 2.55, 3 Ti 2.60
Se (0.7368, 0.7368, 0.7368)  3 Ti 2.63, 3 Ag 2.78


Record 3
TeO2: optimized geometry, PBE.

a b c (Å): 4.0083 5.4744 7.8110
angles (deg): 88.23 90.00 90.00
Last column: nearest neighbours and their distance in Å.
Element x y z (fractional)
Te (0.2500, 0.7134, 0.8585)  2 O 1.90-1.96
Te (0.7500, 0.2866, 0.1415)  2 O 1.90-1.96
Te (0.7500, 0.1910, 0.6121)  5 O 2.07-2.12
Te (0.2500, 0.8090, 0.3879)  5 O 2.07-2.12
O (0.2500, 0.3706, 0.9069)  1 Te 1.90
O (0.7500, 0.6294, 0.0931)  1 Te 1.90
O (0.7500, 0.8941, 0.7852)  3 Te 2.08-2.30
O (0.2500, 0.1059, 0.2148)  3 Te 2.08-2.30
O (0.2500, 0.6104, 0.6201)  2 Te 1.96-2.09
O (0.7500, 0.3896, 0.3799)  2 Te 1.96-2.09
O (0.2500, 0.0848, 0.5633)  3 Te 2.07-2.12
O (0.7500, 0.9152, 0.4367)  3 Te 2.07-2.12


Record 4
Na3CaSc3ZnSi8O24: optimized geometry, PBE.

Properties
- energy above the lowest structure with this stoichiometry (meV/atom) = 0

a b c (Å): 9.1274 5.3768 9.8600
angles (deg): 75.33 90.00 90.00
Last column: nearest neighbours and their distance in Å.
Element x y z (fractional)
Na (0.8054, 0.5000, 0.5000)  6 O 2.43-2.52
Na (0.3003, 0.0000, 0.0000)  6 O 2.42-2.56
Na (0.1946, 0.0000, 0.5000)  6 O 2.43-2.51
Ca (0.7034, 0.5000, 0.0000)  6 O 2.36-2.55
Sc (0.3928, 0.5000, 0.5000)  6 O 2.01-2.23
Sc (0.6062, 0.0000, 0.5000)  6 O 2.02-2.23
Sc (0.1014, 0.5000, 0.0000)  6 O 2.05-2.22
Zn (0.9017, 0.0000, 0.0000)  6 O 2.09-2.20
Si (0.0871, 0.7006, 0.2889)  4 O 1.62-1.67
Si (0.5892, 0.1985, 0.7898)  4 O 1.61-1.69
Si (0.0871, 0.2994, 0.7111)  4 O 1.62-1.67
Si (0.5892, 0.8015, 0.2102)  4 O 1.61-1.69
Si (0.9129, 0.8002, 0.7100)  4 O 1.62-1.67
Si (0.4102, 0.2993, 0.2108)  4 O 1.61-1.68
Si (0.9129, 0.1998, 0.2900)  4 O 1.62-1.67
Si (0.4102, 0.7007, 0.7892)  4 O 1.61-1.68
O (0.2472, 0.6984, 0.3602)  1 Si 1.62
O (0.7462, 0.2076, 0.8619)  1 Si 1.61
O (0.2472, 0.3016, 0.6398)  1 Si 1.62
O (0.7462, 0.7924, 0.1381)  1 Si 1.61
O (0.7521, 0.8017, 0.6405)  1 Si 1.62
O (0.2517, 0.3005, 0.1399)  1 Si 1.61
O (0.7521, 0.1983, 0.3595)  1 Si 1.62
O (0.2517, 0.6995, 0.8601)  1 Si 1.61
O (0.0105, 0.4123, 0.3499)  2 Si 1.67
O (0.5128, 0.9088, 0.8500)  2 Si 1.67-1.68
O (0.0105, 0.5877, 0.6501)  2 Si 1.67
O (0.5128, 0.0912, 0.1500)  2 Si 1.67-1.68
O (0.9895, 0.0867, 0.6509)  2 Si 1.66-1.67
O (0.4911, 0.5850, 0.1499)  2 Si 1.67-1.69
O (0.9895, 0.9133, 0.3491)  2 Si 1.66-1.67
O (0.4911, 0.4150, 0.8501)  2 Si 1.67-1.69
O (0.0827, 0.7749, 0.1179)  1 Si 1.63
O (0.5789, 0.2760, 0.6182)  1 Si 1.64
O (0.0827, 0.2251, 0.8821)  1 Si 1.63
O (0.5789, 0.7240, 0.3818)  1 Si 1.64
O (0.9149, 0.7172, 0.8822)  1 Si 1.64
O (0.4201, 0.2230, 0.3822)  1 Si 1.64
O (0.9149, 0.2828, 0.1178)  1 Si 1.64
O (0.4201, 0.7770, 0.6178)  1 Si 1.64


Record 5
Mg5Si9: optimized geometry, PBE.

Properties
- energy above the lowest structure with this stoichiometry (meV/atom) = 85

a b c (Å): 5.4884 7.1610 13.7692
angles (deg): 77.87 85.40 67.80
Last column: nearest neighbours and their distance in Å.
Element x y z (fractional)
Mg (0.8622, 0.7199, 0.6790)  4 Si 2.65-2.84, 1 Mg 2.95
Mg (0.8941, 0.2807, 0.4181)  7 Si 2.73-3.01, 2 Mg 2.75-2.76
Mg (0.4765, 0.5653, 0.5512)  7 Si 2.79-3.10, 2 Mg 3.04
Mg (0.3802, 0.3116, 0.4178)  7 Si 2.72-2.88, 3 Mg 2.75-3.04
Mg (0.2469, 0.9789, 0.6153)  7 Si 2.87-3.04, 1 Mg 3.04
Mg (0.8618, 0.8393, 0.4468)  6 Si 2.78-2.98
Mg (0.3118, 0.6617, 0.1336)  8 Si 2.74-2.96
Mg (0.9565, 0.4245, 0.8701)  7 Si 2.70-3.00, 1 Mg 2.95
Mg (0.6219, 0.9418, 0.1510)  7 Si 2.77-3.08
Mg (0.5463, 0.1725, 0.9226)  7 Si 2.69-2.95
Si (0.7748, 0.2826, 0.0581)  4 Si 2.46-2.64, 1 Mg 2.72
Si (0.4345, 0.5829, 0.9455)  5 Si 2.52-2.73, 1 Mg 2.74
Si (0.0985, 0.9535, 0.2551)  5 Si 2.53-2.64, 1 Mg 2.80
Si (0.8417, 0.2595, 0.7194)  5 Si 2.53-2.72, 1 Mg 2.81
Si (0.5336, 0.6442, 0.3221)  3 Si 2.43-2.64
Si (0.2956, 0.2746, 0.7195)  5 Si 2.51-2.72, 1 Mg 2.78
Si (0.2135, 0.2858, 0.2297)  4 Si 2.44-2.63
Si (0.5137, 0.8882, 0.8295)  4 Si 2.52-2.72, 1 Mg 2.69
Si (0.9848, 0.6239, 0.2919)  3 Si 2.43-2.60
Si (0.0286, 0.4424, 0.5634)  2 Si 2.51-2.62, 4 Mg 2.65-2.80
Si (0.9735, 0.8863, 0.8317)  4 Si 2.47-2.65
Si (0.1075, 0.9838, 0.9745)  2 Si 2.47-2.64
Si (0.6703, 0.2605, 0.2372)  3 Si 2.45-2.53
Si (0.4109, 0.5748, 0.7647)  3 Si 2.52-2.72
Si (0.1581, 0.3839, 0.0495)  4 Si 2.44-2.61, 1 Mg 2.70
Si (0.7924, 0.7261, 0.9975)  4 Si 2.51-2.73, 1 Mg 2.77
Si (0.6834, 0.1180, 0.5931)  2 Si 2.54-2.69, 3 Mg 2.67-2.83
Si (0.3261, 0.9329, 0.4120)  2 Si 2.48-2.53, 1 Mg 2.73


Record 6
Cs12Sn2Bi6O: optimized geometry, PBE.

a b c (Å): 13.6449 13.6449 6.5922
angles (deg): 90.00 90.00 120.00
Last column: nearest neighbours and their distance in Å.
Element x y z (fractional)
Cs (0.9023, 0.4511, 0.2494)  2 Cs 4.02-4.03, 2 Sn 4.31-4.32, 6 Bi 4.34-4.42
Cs (0.5489, 0.4511, 0.2494)  2 Cs 4.02-4.03, 2 Sn 4.31-4.32, 6 Bi 4.34-4.42
Cs (0.5489, 0.0977, 0.2494)  2 Cs 4.02-4.03, 2 Sn 4.31-4.32, 6 Bi 4.34-4.42
Cs (0.0977, 0.5489, 0.7506)  2 Cs 4.02-4.03, 2 Sn 4.31-4.32, 6 Bi 4.34-4.42
Cs (0.4511, 0.5489, 0.7506)  2 Cs 4.02-4.03, 2 Sn 4.31-4.32, 6 Bi 4.34-4.42
Cs (0.4511, 0.9023, 0.7506)  2 Cs 4.02-4.03, 2 Sn 4.31-4.32, 6 Bi 4.34-4.42
Cs (0.2223, 0.1111, 0.2766)  1 O 3.01
Cs (0.8889, 0.1111, 0.2766)  1 O 3.01
Cs (0.8889, 0.7777, 0.2766)  1 O 3.01
Cs (0.7777, 0.8889, 0.7234)  1 O 3.01
Cs (0.1111, 0.8889, 0.7234)  1 O 3.01
Cs (0.1111, 0.2223, 0.7234)  1 O 3.01
Sn (0.6667, 0.3333, 0.7508)  3 Bi 2.88
Sn (0.3333, 0.6667, 0.2492)  3 Bi 2.88
Bi (0.5770, 0.7885, 0.2491)  1 Sn 2.88
Bi (0.2115, 0.7885, 0.2491)  1 Sn 2.88
Bi (0.2115, 0.4230, 0.2491)  1 Sn 2.88
Bi (0.4230, 0.2115, 0.7509)  1 Sn 2.88
Bi (0.7885, 0.2115, 0.7509)  1 Sn 2.88
Bi (0.7885, 0.5770, 0.7509)  1 Sn 2.88
O (0.0000, 0.0000, 0.5000)  6 Cs 3.01


Record 7
Li7Sb2S: optimized geometry, PBE.

a b c (Å): 13.9852 5.9417 9.3970
angles (deg): 89.88 90.00 90.00
Last column: nearest neighbours and their distance in Å.
Element x y z (fractional)
Li (0.1486, 0.2731, 0.0462)  1 S 2.41
Li (0.3941, 0.0023, 0.0803)  1 S 2.44
Li (0.3961, 0.4915, 0.0913)  1 S 2.46
Li (0.9197, 0.1533, 0.1376)  1 S 2.44
Li (0.7456, 0.5099, 0.1870)  1 S 2.43
Li (0.7368, 0.9949, 0.1885)  1 S 2.42
Li (0.0500, 0.7290, 0.2301)  1 S 2.40
Li (0.5500, 0.2710, 0.2699)  1 S 2.40
Li (0.2368, 0.0051, 0.3115)  1 S 2.42
Li (0.2456, 0.4901, 0.3130)  1 S 2.43
Li (0.4197, 0.8467, 0.3624)  1 S 2.44
Li (0.8961, 0.5085, 0.4087)  1 S 2.46
Li (0.8941, 0.9977, 0.4197)  1 S 2.44
Li (0.6486, 0.7269, 0.4538)  1 S 2.41
Li (0.3514, 0.2731, 0.5462)  1 S 2.41
Li (0.1059, 0.0023, 0.5803)  1 S 2.44
Li (0.1039, 0.4915, 0.5913)  1 S 2.46
Li (0.5803, 0.1533, 0.6376)  1 S 2.44
Li (0.7544, 0.5099, 0.6870)  1 S 2.43
Li (0.7632, 0.9949, 0.6885)  1 S 2.42
Li (0.4500, 0.7290, 0.7301)  1 S 2.40
Li (0.9500, 0.2710, 0.7699)  1 S 2.40
Li (0.2632, 0.0051, 0.8115)  1 S 2.42
Li (0.2544, 0.4901, 0.8130)  1 S 2.43
Li (0.0803, 0.8467, 0.8624)  1 S 2.44
Li (0.6039, 0.5085, 0.9087)  1 S 2.46
Li (0.6059, 0.9977, 0.9197)  1 S 2.44
Li (0.8514, 0.7269, 0.9538)  1 S 2.41
Sb (0.2219, 0.7447, 0.0627)  9 Li 2.80-2.99
Sb (0.5660, 0.7479, 0.1689)  9 Li 2.80-3.00
Sb (0.0660, 0.2521, 0.3311)  9 Li 2.80-3.00
Sb (0.7219, 0.2553, 0.4373)  9 Li 2.80-2.99
Sb (0.2781, 0.7447, 0.5627)  9 Li 2.80-2.99
Sb (0.9340, 0.7479, 0.6689)  9 Li 2.80-3.00
Sb (0.4340, 0.2521, 0.8311)  9 Li 2.80-3.00
Sb (0.7781, 0.2553, 0.9373)  9 Li 2.80-2.99
S (0.8802, 0.7679, 0.2058)  7 Li 2.40-2.46
S (0.3802, 0.2321, 0.2942)  7 Li 2.40-2.46
S (0.6198, 0.7679, 0.7058)  7 Li 2.40-2.46
S (0.1198, 0.2321, 0.7942)  7 Li 2.40-2.46


Record 8
BaH4O6: optimized geometry, PBE.

Properties
- energy above the lowest structure with this stoichiometry (meV/atom) = 323

a b c (Å): 5.2941 5.2941 8.5471
angles (deg): 84.21 84.21 73.84
Last column: nearest neighbours and their distance in Å.
Element x y z (fractional)
Ba (0.2028, 0.8070, 0.7694)  11 O 2.80-3.04, 2 H 3.05-3.07
Ba (0.8070, 0.2028, 0.2694)  11 O 2.80-3.04, 2 H 3.05-3.07
H (0.7284, 0.6827, 0.5672)  1 O 1.06
H (0.3178, 0.2822, 0.9692)  1 O 1.07
H (0.2822, 0.3178, 0.4692)  1 O 1.07
H (0.6827, 0.7284, 0.0672)  1 O 1.06
H (0.6329, 0.1965, 0.6419)  1 O 1.08
H (0.1965, 0.6329, 0.1419)  1 O 1.08
H (0.8019, 0.3755, 0.8932)  1 O 1.07
H (0.3755, 0.8019, 0.3932)  1 O 1.07
O (0.8140, 0.8424, 0.5634)  1 H 1.06
O (0.1527, 0.1995, 0.9763)  1 H 1.07
O (0.1995, 0.1527, 0.4763)  1 H 1.07
O (0.8424, 0.8140, 0.0634)  1 H 1.06
O (0.6622, 0.9969, 0.6942)  1 H 1.08
O (0.9997, 0.3507, 0.8445)  1 H 1.07
O (0.3507, 0.9997, 0.3445)  1 H 1.07
O (0.9969, 0.6622, 0.1942)  1 H 1.08
O (0.6039, 0.4619, 0.5756)  2 H 1.43-1.49, 1 O 1.49
O (0.5288, 0.4044, 0.9554)  2 H 1.43-1.46, 1 O 1.49
O (0.4044, 0.5288, 0.4554)  2 H 1.43-1.46, 1 O 1.49
O (0.4619, 0.6039, 0.0756)  2 H 1.43-1.49, 1 O 1.49


Number 1: formation enthalpy at 0 K -1360 meV per atom. Number 2: formation enthalpy at 0 K -946 meV per atom. Number 3: formation enthalpy at 0 K -1330 meV per atom. Number 4: formation enthalpy at 0 K -3247 meV per atom. Number 5: formation enthalpy at 0 K 237 meV per atom. Number 6: formation enthalpy at 0 K -469 meV per atom. Number 7: formation enthalpy at 0 K -785 meV per atom. Number 8: formation enthalpy at 0 K -1036 meV per atom.